A plane-wave DFT calculation with PBE was carried out for a relaxed structure of MnCu3.

POSCAR file:
```
MnCu3
1.0
5.196 0.000 0.000
-2.598 4.500 0.000
0.000 0.000 4.240
Mn Cu
2 6
Direct
0.333 0.667 0.250
0.667 0.333 0.750
0.166 0.332 0.750
0.166 0.834 0.750
0.332 0.166 0.250
0.668 0.834 0.750
0.834 0.166 0.250
0.834 0.668 0.250
```

## Properties
**Energy of formation from the pure elements**: 2.14 kcal/mol of atoms
**Total moment**: 3.80 μB per formula unit

A plane-wave DFT calculation with PBE was carried out for a relaxed structure of Mn10CuN8.

POSCAR file:
```
Mn10CuN8
1.0
7.420 -2.026 0.000
7.420 2.026 0.000
-1.886 0.000 6.290
Mn Cu N
10 1 8
Direct
0.040 0.040 0.231
0.152 0.152 0.715
0.211 0.211 0.173
0.325 0.325 0.569
0.404 0.404 0.039
0.596 0.596 0.961
0.675 0.675 0.431
0.789 0.789 0.827
0.848 0.848 0.285
0.960 0.960 0.769
0.500 0.500 0.500
0.095 0.095 0.952
0.177 0.177 0.431
0.343 0.343 0.271
0.453 0.453 0.770
0.547 0.547 0.230
0.657 0.657 0.729
0.823 0.823 0.569
0.905 0.905 0.048
```

## Properties
**Energy of formation from the pure elements**: -8.08 kcal/mol of atoms
**Total moment**: 18.54 μB per formula unit

A plane-wave DFT calculation with PBE was carried out for a relaxed structure of Nd2Mn2CuSi3.

POSCAR file:
```
Nd2Mn2CuSi3
1.0
3.973 0.000 0.000
0.000 2.063 9.027
0.000 -2.063 9.027
Nd Mn Cu Si
2 2 1 3
Direct
0.000 0.000 0.000
0.500 0.200 0.200
0.000 0.349 0.349
0.500 0.849 0.849
0.500 0.434 0.434
0.000 0.636 0.636
0.000 0.773 0.773
0.500 0.564 0.564
```

## Properties
**Energy of formation from the pure elements**: -8.40 kcal/mol of atoms
**Total moment**: 5.77 μB per formula unit

A plane-wave DFT calculation with PBE was carried out for a relaxed structure of Mn2CuNiSb2.

POSCAR file:
```
Mn2CuNiSb2
1.0
2.126 1.227 6.933
-2.126 1.227 6.933
0.000 -2.454 6.933
Mn Cu Ni Sb
2 1 1 2
Direct
0.000 0.000 0.000
0.495 0.495 0.495
0.872 0.872 0.872
0.373 0.373 0.373
0.250 0.250 0.250
0.745 0.745 0.745
```

## Properties
**Energy of formation from the pure elements**: -2.83 kcal/mol of atoms
**Total moment**: 8.86 μB per formula unit

A plane-wave DFT calculation with PBE was carried out for a relaxed structure of Pr2Mn3Cu9P7.

POSCAR file:
```
Pr2Mn3Cu9P7
1.0
9.412 0.000 0.000
-4.706 8.151 0.000
0.000 0.000 3.785
Pr Mn Cu P
2 3 9 7
Direct
0.000 0.000 0.000
0.333 0.667 0.500
0.465 0.215 0.000
0.750 0.535 0.000
0.785 0.250 0.000
0.050 0.284 0.500
0.090 0.716 0.000
0.234 0.950 0.500
0.284 0.375 0.000
0.511 0.456 0.500
0.544 0.055 0.500
0.625 0.910 0.000
0.716 0.766 0.500
0.945 0.489 0.500
0.065 0.441 0.000
0.270 0.212 0.500
0.377 0.935 0.000
0.559 0.623 0.000
0.667 0.333 0.500
0.788 0.058 0.500
0.942 0.730 0.500
```

## Properties
**Energy of formation from the pure elements**: -9.11 kcal/mol of atoms
**Total moment**: 9.39 μB per formula unit

A plane-wave DFT calculation with PBE was carried out for a relaxed structure of Sm2Mn3Cu9P7.

POSCAR file:
```
Sm2Mn3Cu9P7
1.0
9.314 0.000 0.000
0.000 3.752 0.000
-4.565 0.000 8.190
Sm Mn Cu P
2 3 9 7
Direct
0.000 0.000 0.000
0.329 0.500 0.662
0.450 0.000 0.200
0.751 0.000 0.537
0.786 0.000 0.243
0.046 0.500 0.281
0.094 0.000 0.715
0.235 0.500 0.949
0.279 0.000 0.371
0.505 0.500 0.446
0.543 0.500 0.047
0.624 0.000 0.903
0.713 0.500 0.761
0.939 0.500 0.487
0.066 0.000 0.442
0.264 0.500 0.205
0.375 0.000 0.925
0.545 0.000 0.621
0.661 0.500 0.319
0.791 0.500 0.055
0.951 0.500 0.740
```

## Properties
**Energy of formation from the pure elements**: -9.40 kcal/mol of atoms
**Total moment**: 9.63 μB per formula unit

A plane-wave DFT calculation with PBE was carried out for a relaxed structure of Tb2Mn3Cu9P7.

POSCAR file:
```
Tb2Mn3Cu9P7
1.0
9.433 0.000 0.000
0.000 3.752 0.000
-4.660 0.000 8.204
Tb Mn Cu P
2 3 9 7
Direct
0.000 0.000 0.000
0.331 0.500 0.660
0.538 0.500 0.411
0.579 0.500 0.118
0.884 0.500 0.467
0.049 0.500 0.288
0.099 0.000 0.714
0.240 0.500 0.944
0.281 0.000 0.377
0.385 0.000 0.165
0.618 0.000 0.896
0.703 0.500 0.754
0.786 0.000 0.616
0.824 0.000 0.215
0.075 0.000 0.457
0.253 0.500 0.209
0.383 0.000 0.916
0.536 0.000 0.608
0.665 0.000 0.335
0.786 0.500 0.038
0.960 0.500 0.749
```

## Properties
**Energy of formation from the pure elements**: -9.72 kcal/mol of atoms
**Total moment**: 10.06 μB per formula unit

A plane-wave DFT calculation with PBE was carried out for a relaxed structure of MnCuPd2.

POSCAR file:
```
MnCuPd2
1.0
0.000 3.062 3.062
3.062 0.000 3.062
3.062 3.062 0.000
Mn Cu Pd
1 1 2
Direct
0.000 0.000 0.000
0.500 0.500 0.500
0.250 0.250 0.250
0.750 0.750 0.750
```

## Properties
**Energy of formation from the pure elements**: -5.14 kcal/mol of atoms